# Dy2Ge2Ru (GGA-PBE, optimized geometry)
# crystal system	monoclinic
# formation energy	-799	meV/atom
data_Dy2Ge2Ru
_space_group_name_H-M_alt 'C 1 2/m 1'
_space_group_IT_number 12
_cell_length_a 10.793
_cell_length_b 4.309
_cell_length_c 10.197
_cell_angle_alpha 90.00
_cell_angle_beta 118.32
_cell_angle_gamma 90.00
loop_
_space_group_symop_operation_xyz
'x,y,z'
'-x,-y,-z'
'-x,y,-z'
'x,-y,z'
'x+1/2,y+1/2,z'
'-x+1/2,-y+1/2,-z'
'-x+1/2,y+1/2,-z'
'x+1/2,-y+1/2,z'
loop_
_atom_site_label
_atom_site_type_symbol
_atom_site_fract_x
_atom_site_fract_y
_atom_site_fract_z
_atom_site_occupancy
Dy1 Dy 0.001 0.000 0.328 1
Dy2 Dy 0.184 0.000 0.109 1
Ge1 Ge 0.011 0.500 0.876 1
Ge2 Ge 0.146 0.500 0.568 1
Ru1 Ru 0.228 0.500 0.373 1